1.
The following is a DFT calculation (GGA-PBE) of an optimized crystal structure of Hg3BI2O2F4.

Values from the calculation:
energy relative to the elements: -1.51 eV per atom
final energy: -43.12 eV/f.u.

Unit cell a=7.6666 b=13.4428 c=12.7065 alpha=90.00 beta=124.48 gamma=90.00
With the nearest neighbours (Å) after each atom.
Element x y z (fractional)
Hg 0.0219 0.1751 0.0407  2 O 2.18-2.37
Hg 0.0219 0.3249 0.5407  2 O 2.18-2.37
Hg 0.2277 0.6905 0.2664  2 O 2.03-2.06
Hg 0.2277 0.8095 0.7664  2 O 2.03-2.06
Hg 0.4453 0.6914 0.0695  2 O 2.15-2.30
Hg 0.4453 0.8086 0.5695  2 O 2.15-2.30
Hg 0.5547 0.1914 0.4305  2 O 2.15-2.30
Hg 0.5547 0.3086 0.9305  2 O 2.15-2.30
Hg 0.7723 0.1905 0.2336  2 O 2.03-2.06
Hg 0.7723 0.3095 0.7336  2 O 2.03-2.06
Hg 0.9781 0.6751 0.4593  2 O 2.18-2.37
Hg 0.9781 0.8249 0.9593  2 O 2.18-2.37
B 0.1454 0.1036 0.7615  4 F 1.38-1.46
B 0.1454 0.3964 0.2615  4 F 1.38-1.46
B 0.8546 0.6036 0.7385  4 F 1.38-1.46
B 0.8546 0.8964 0.2385  4 F 1.38-1.46
I 0.3075 0.1395 0.5070  1 Hg 2.67
I 0.3075 0.3605 0.0070  1 Hg 2.67
I 0.3421 0.0518 0.1866  1 Hg 2.66
I 0.3421 0.4482 0.6866  1 Hg 2.66
I 0.6579 0.5518 0.3134  1 Hg 2.66
I 0.6579 0.9482 0.8134  1 Hg 2.66
I 0.6925 0.6395 0.9930  1 Hg 2.67
I 0.6925 0.8605 0.4930  1 Hg 2.67
O 0.1950 0.7135 0.0959  3 Hg 2.06-2.18
O 0.1950 0.7865 0.5959  3 Hg 2.06-2.18
O 0.2632 0.6762 0.4362  1 Hg 2.03
O 0.2632 0.8238 0.9362  1 Hg 2.03
O 0.7368 0.1762 0.0638  1 Hg 2.03
O 0.7368 0.3238 0.5638  1 Hg 2.03
O 0.8050 0.2135 0.4041  3 Hg 2.06-2.18
O 0.8050 0.2865 0.9041  3 Hg 2.06-2.18
F 0.0586 0.6234 0.7650  1 B 1.43
F 0.0586 0.8766 0.2650  1 B 1.43
F 0.1292 0.0318 0.6752  1 B 1.41
F 0.1292 0.4682 0.1752  1 B 1.41
F 0.2225 0.1956 0.7401  1 B 1.46
F 0.2225 0.3044 0.2401  1 B 1.46
F 0.2841 0.0748 0.8874  1 B 1.38
F 0.2841 0.4252 0.3874  1 B 1.38
F 0.7159 0.5748 0.6126  1 B 1.38
F 0.7159 0.9252 0.1126  1 B 1.38
F 0.7775 0.6956 0.7599  1 B 1.46
F 0.7775 0.8044 0.2599  1 B 1.46
F 0.8708 0.5318 0.8248  1 B 1.41
F 0.8708 0.9682 0.3248  1 B 1.41
F 0.9414 0.1234 0.7350  1 B 1.43
F 0.9414 0.3766 0.2350  1 B 1.43


2.
The following is a DFT calculation (GGA-PBE) of an optimized crystal structure of Hg2BOF4.

Values from the calculation:
energy relative to the elements: -1.99 eV per atom
final energy: -33.29 eV/f.u.

Unit cell a=10.0137 b=11.8089 c=10.0401 alpha=90.00 beta=90.00 gamma=90.00
With the nearest neighbours (Å) after each atom.
Element x y z (fractional)
Hg 0.0023 0.2286 0.1785  1 O 2.18
Hg 0.0023 0.2714 0.6785  1 O 2.18
Hg 0.0309 0.5427 0.1897  1 O 2.18
Hg 0.0309 0.9573 0.6897  1 O 2.18
Hg 0.4691 0.0427 0.1897  1 O 2.18
Hg 0.4691 0.4573 0.6897  1 O 2.18
Hg 0.4977 0.7286 0.1785  1 O 2.18
Hg 0.4977 0.7714 0.6785  1 O 2.18
Hg 0.5023 0.2286 0.3215  1 O 2.18
Hg 0.5023 0.2714 0.8215  1 O 2.18
Hg 0.5309 0.5427 0.3103  1 O 2.18
Hg 0.5309 0.9573 0.8103  1 O 2.18
Hg 0.9691 0.0427 0.3103  1 O 2.18
Hg 0.9691 0.4573 0.8103  1 O 2.18
Hg 0.9977 0.7286 0.3215  1 O 2.18
Hg 0.9977 0.7714 0.8215  1 O 2.18
B 0.2120 0.1175 0.9285  4 F 1.41-1.43
B 0.2120 0.3825 0.4285  4 F 1.41-1.43
B 0.2880 0.6175 0.9285  4 F 1.41-1.43
B 0.2880 0.8825 0.4285  4 F 1.41-1.43
B 0.7120 0.1175 0.5715  4 F 1.41-1.43
B 0.7120 0.3825 0.0715  4 F 1.41-1.43
B 0.7880 0.6175 0.5715  4 F 1.41-1.43
B 0.7880 0.8825 0.0715  4 F 1.41-1.43
O 0.0396 0.1132 0.5733  2 Hg 2.18
O 0.0396 0.3868 0.0733  2 Hg 2.18
O 0.4604 0.6132 0.5733  2 Hg 2.18
O 0.4604 0.8868 0.0733  2 Hg 2.18
O 0.5396 0.1132 0.9267  2 Hg 2.18
O 0.5396 0.3868 0.4267  2 Hg 2.18
O 0.9604 0.6132 0.9267  2 Hg 2.18
O 0.9604 0.8868 0.4267  2 Hg 2.18
F 0.0715 0.1316 0.9076  1 B 1.43
F 0.0715 0.3684 0.4076  1 B 1.43
F 0.2242 0.6035 0.8016  1 B 1.43
F 0.2242 0.8965 0.3016  1 B 1.43
F 0.2353 0.7155 0.9917  1 B 1.42
F 0.2353 0.7845 0.4917  1 B 1.42
F 0.2357 0.0214 0.0083  1 B 1.41
F 0.2357 0.4786 0.5083  1 B 1.41
F 0.2643 0.5214 0.0083  1 B 1.41
F 0.2643 0.9786 0.5083  1 B 1.41
F 0.2647 0.2155 0.9917  1 B 1.42
F 0.2647 0.2845 0.4917  1 B 1.42
F 0.2758 0.1035 0.8016  1 B 1.43
F 0.2758 0.3965 0.3016  1 B 1.43
F 0.4285 0.6316 0.9076  1 B 1.43
F 0.4285 0.8684 0.4076  1 B 1.43
F 0.5715 0.1316 0.5924  1 B 1.43
F 0.5715 0.3684 0.0924  1 B 1.43
F 0.7242 0.6035 0.6984  1 B 1.43
F 0.7242 0.8965 0.1984  1 B 1.43
F 0.7353 0.7155 0.5083  1 B 1.42
F 0.7353 0.7845 0.0083  1 B 1.42
F 0.7357 0.0214 0.4917  1 B 1.41
F 0.7357 0.4786 0.9917  1 B 1.41
F 0.7643 0.5214 0.4917  1 B 1.41
F 0.7643 0.9786 0.9917  1 B 1.41
F 0.7647 0.2155 0.5083  1 B 1.42
F 0.7647 0.2845 0.0083  1 B 1.42
F 0.7758 0.1035 0.6984  1 B 1.43
F 0.7758 0.3965 0.1984  1 B 1.43
F 0.9285 0.6316 0.5924  1 B 1.43
F 0.9285 0.8684 0.0924  1 B 1.43


3.
The following is a DFT calculation (GGA-PBE) of an optimized crystal structure of InBF4.

Values from the calculation:
energy relative to the elements: -2.84 eV per atom
final energy: -32.28 eV/f.u.

Unit cell a=9.2317 b=5.7928 c=7.4469 alpha=90.00 beta=90.00 gamma=90.00
With the nearest neighbours (Å) after each atom.
Element x y z (fractional)
In 0.1860 0.2500 0.1677  8 F 2.91-3.15
In 0.3140 0.7500 0.6677  8 F 2.91-3.15
In 0.6860 0.2500 0.3323  8 F 2.91-3.15
In 0.8140 0.7500 0.8323  8 F 2.91-3.15
B 0.0620 0.2500 0.6882  4 F 1.41-1.43
B 0.4380 0.7500 0.1882  4 F 1.41-1.43
B 0.5620 0.2500 0.8118  4 F 1.41-1.43
B 0.9380 0.7500 0.3118  4 F 1.41-1.43
F 0.0752 0.7500 0.3938  1 B 1.41
F 0.0769 0.0498 0.7991  1 B 1.43
F 0.0769 0.4502 0.7991  1 B 1.43
F 0.1743 0.2500 0.5581  1 B 1.42
F 0.3257 0.7500 0.0581  1 B 1.42
F 0.4231 0.5498 0.2991  1 B 1.43
F 0.4231 0.9502 0.2991  1 B 1.43
F 0.4248 0.2500 0.8938  1 B 1.41
F 0.5752 0.7500 0.1062  1 B 1.41
F 0.5769 0.0498 0.7009  1 B 1.43
F 0.5769 0.4502 0.7009  1 B 1.43
F 0.6743 0.2500 0.9419  1 B 1.42
F 0.8257 0.7500 0.4419  1 B 1.42
F 0.9231 0.5498 0.2009  1 B 1.43
F 0.9231 0.9502 0.2009  1 B 1.43
F 0.9248 0.2500 0.6062  1 B 1.41


4.
The following is a DFT calculation (GGA-PBE) of an optimized crystal structure of KBF4.

Values from the calculation:
energy relative to the elements: -3.23 eV per atom
final energy: -32.98 eV/f.u.
piezoelectric modulus e_max: 0.39 C/m2

Unit cell a=5.0919 b=5.1347 c=5.2981 alpha=96.96 beta=115.99 gamma=114.15
With the nearest neighbours (Å) after each atom.
Element x y z (fractional)
K 0.0000 0.0000 0.0000  7 F 2.73-3.03
B 0.4852 0.2758 0.7373  4 F 1.41-1.43
F 0.2557 0.3694 0.7251  1 B 1.41
F 0.3202 0.9519 0.6446  1 B 1.42
F 0.5978 0.3755 0.5447  1 B 1.42
F 0.7745 0.4103 0.0396  1 B 1.43


5.
The following is a DFT calculation (GGA-PBE) of an optimized crystal structure of KBF4.

Values from the calculation:
energy relative to the elements: -3.30 eV per atom
final energy: -33.42 eV/f.u.

Unit cell a=8.7873 b=5.5842 c=7.1527 alpha=90.00 beta=90.00 gamma=90.00
With the nearest neighbours (Å) after each atom.
Element x y z (fractional)
K 0.1845 0.2500 0.1604  8 F 2.79-2.95
K 0.3155 0.7500 0.6604  8 F 2.79-2.95
K 0.6845 0.2500 0.3396  8 F 2.79-2.95
K 0.8155 0.7500 0.8396  8 F 2.79-2.95
B 0.0626 0.2500 0.6888  4 F 1.41-1.43
B 0.4374 0.7500 0.1888  4 F 1.41-1.43
B 0.5626 0.2500 0.8112  4 F 1.41-1.43
B 0.9374 0.7500 0.3112  4 F 1.41-1.43
F 0.0771 0.0426 0.8042  1 B 1.43
F 0.0771 0.4574 0.8042  1 B 1.43
F 0.0812 0.7500 0.3978  1 B 1.41
F 0.1807 0.2500 0.5543  1 B 1.41
F 0.3193 0.7500 0.0543  1 B 1.41
F 0.4188 0.2500 0.8978  1 B 1.41
F 0.4229 0.5426 0.3042  1 B 1.43
F 0.4229 0.9574 0.3042  1 B 1.43
F 0.5771 0.0426 0.6958  1 B 1.43
F 0.5771 0.4574 0.6958  1 B 1.43
F 0.5812 0.7500 0.1022  1 B 1.41
F 0.6807 0.2500 0.9457  1 B 1.41
F 0.8193 0.7500 0.4457  1 B 1.41
F 0.9188 0.2500 0.6022  1 B 1.41
F 0.9229 0.5426 0.1958  1 B 1.43
F 0.9229 0.9574 0.1958  1 B 1.43


6.
The following is a DFT calculation (GGA-PBE) of an optimized crystal structure of KBOF2.

Values from the calculation:
energy relative to the elements: -3.09 eV per atom
final energy: -30.41 eV/f.u.

Unit cell a=9.8813 b=7.0134 c=15.2947 alpha=90.00 beta=128.41 gamma=90.00
With the nearest neighbours (Å) after each atom.
Element x y z (fractional)
K 0.1031 0.0945 0.4274  3 O 2.76-3.07, 5 F 2.77-2.87
K 0.1031 0.4055 0.9274  3 O 2.76-3.07, 5 F 2.77-2.87
K 0.2809 0.5710 0.5792  7 F 2.75-3.06, 2 O 2.79-3.02
K 0.2809 0.9290 0.0792  7 F 2.75-3.06, 2 O 2.79-3.02
K 0.3485 0.7237 0.8528  5 F 2.67-2.97, 2 O 2.69-2.74
K 0.3485 0.7763 0.3528  5 F 2.67-2.97, 2 O 2.69-2.74
K 0.6515 0.2237 0.6472  5 F 2.67-2.97, 2 O 2.69-2.74
K 0.6515 0.2763 0.1472  5 F 2.67-2.97, 2 O 2.69-2.74
K 0.7191 0.0710 0.9208  7 F 2.75-3.06, 2 O 2.79-3.02
K 0.7191 0.4290 0.4208  7 F 2.75-3.06, 2 O 2.79-3.02
K 0.8969 0.5945 0.0726  3 O 2.76-3.07, 5 F 2.77-2.87
K 0.8969 0.9055 0.5726  3 O 2.76-3.07, 5 F 2.77-2.87
B 0.0888 0.1460 0.1788  2 O 1.43, 2 F 1.48
B 0.0888 0.3540 0.6788  2 O 1.43, 2 F 1.48
B 0.2843 0.1116 0.6891  2 O 1.43-1.44, 2 F 1.48-1.49
B 0.2843 0.3884 0.1891  2 O 1.43-1.44, 2 F 1.48-1.49
B 0.3497 0.2342 0.8644  2 O 1.43, 2 F 1.48
B 0.3497 0.2658 0.3644  2 O 1.43, 2 F 1.48
B 0.6503 0.7342 0.6356  2 O 1.43, 2 F 1.48
B 0.6503 0.7658 0.1356  2 O 1.43, 2 F 1.48
B 0.7157 0.6116 0.8109  2 O 1.43-1.44, 2 F 1.48-1.49
B 0.7157 0.8884 0.3109  2 O 1.43-1.44, 2 F 1.48-1.49
B 0.9112 0.6460 0.3212  2 O 1.43, 2 F 1.48
B 0.9112 0.8540 0.8212  2 O 1.43, 2 F 1.48
O 0.1394 0.2389 0.6259  2 B 1.43-1.44
O 0.1394 0.2611 0.1259  2 B 1.43-1.44
O 0.2085 0.1350 0.2981  2 B 1.43
O 0.2085 0.3650 0.7981  2 B 1.43
O 0.3626 0.0886 0.8046  2 B 1.43
O 0.3626 0.4114 0.3046  2 B 1.43
O 0.6374 0.5886 0.6954  2 B 1.43
O 0.6374 0.9114 0.1954  2 B 1.43
O 0.7915 0.6350 0.2019  2 B 1.43
O 0.7915 0.8650 0.7019  2 B 1.43
O 0.8606 0.7389 0.8741  2 B 1.43-1.44
O 0.8606 0.7611 0.3741  2 B 1.43-1.44
F 0.0530 0.5498 0.6327  1 B 1.48
F 0.0530 0.9502 0.1327  1 B 1.48
F 0.0824 0.7121 0.3585  1 B 1.48
F 0.0824 0.7879 0.8585  1 B 1.48
F 0.2276 0.5794 0.1353  1 B 1.49
F 0.2276 0.9206 0.6353  1 B 1.49
F 0.3412 0.1465 0.9487  1 B 1.48
F 0.3412 0.3535 0.4487  1 B 1.48
F 0.4130 0.1708 0.6750  1 B 1.48
F 0.4130 0.3292 0.1750  1 B 1.48
F 0.4858 0.6575 0.0664  1 B 1.48
F 0.4858 0.8425 0.5664  1 B 1.48
F 0.5142 0.1575 0.4336  1 B 1.48
F 0.5142 0.3425 0.9336  1 B 1.48
F 0.5870 0.6708 0.8250  1 B 1.48
F 0.5870 0.8292 0.3250  1 B 1.48
F 0.6588 0.6465 0.5513  1 B 1.48
F 0.6588 0.8535 0.0513  1 B 1.48
F 0.7724 0.0794 0.3647  1 B 1.49
F 0.7724 0.4206 0.8647  1 B 1.49
F 0.9176 0.2121 0.1415  1 B 1.48
F 0.9176 0.2879 0.6415  1 B 1.48
F 0.9470 0.0498 0.8673  1 B 1.48
F 0.9470 0.4502 0.3673  1 B 1.48